1) VASP calculation (PBE-GGA) on a geometry-optimized CeSiGe structure. Values from VASP.

## Properties
SG = No. 109
crystal system = tetragonal

Cell and atoms, written as Quantum ESPRESSO input:
```
&SYSTEM
  ibrav = 0, nat = 6, ntyp = 3
/
ATOMIC_SPECIES
Ce 140.12 Ce.upf
Si 28.09 Si.upf
Ge 72.64 Ge.upf
CELL_PARAMETERS angstrom
-2.0756 2.0756 7.3485
2.0756 -2.0756 7.3485
2.0756 2.0756 -7.3485
ATOMIC_POSITIONS crystal
Ce 0.0000 0.0000 0.0000
Ce 0.7500 0.2500 0.5000
Si 0.1672 0.6672 0.5000
Si 0.4172 0.4172 0.0000
Ge 0.3329 0.8329 0.5000
Ge 0.5829 0.5829 0.0000
```



2) VASP calculation (PBE-GGA) on a geometry-optimized CeSiGe structure. Values from VASP.

## Properties
SG = No. 74
crystal system = orthorhombic

Cell and atoms, written as Quantum ESPRESSO input:
```
&SYSTEM
  ibrav = 0, nat = 6, ntyp = 3
/
ATOMIC_SPECIES
Ce 140.12 Ce.upf
Si 28.09 Si.upf
Ge 72.64 Ge.upf
CELL_PARAMETERS angstrom
-2.0496 2.0786 7.4591
2.0496 -2.0786 7.4591
2.0496 2.0786 -7.4591
ATOMIC_POSITIONS crystal
Ce 0.3803 0.1303 0.2500
Ce 0.6197 0.8697 0.7500
Si 0.0385 0.2885 0.7500
Si 0.9615 0.7115 0.2500
Ge 0.2032 0.4532 0.7500
Ge 0.7968 0.5468 0.2500
```



Verdict on stability: 1) comes out at the bottom.



1) VASP calculation (PBE-GGA) on a geometry-optimized Ce2H16S3O20 structure. Values from VASP.

## Properties
SG = No. 7
crystal system = monoclinic

Cell and atoms, written as Quantum ESPRESSO input:
```
&SYSTEM
  ibrav = 0, nat = 82, ntyp = 4
/
ATOMIC_SPECIES
Ce 140.12 Ce.upf
H 1.01 H.upf
S 32.06 S.upf
O 16.00 O.upf
CELL_PARAMETERS angstrom
6.9018 0.0000 0.0000
0.0000 17.5302 0.0000
-6.4430 0.0000 6.9423
ATOMIC_POSITIONS crystal
Ce 0.0000 0.1181 0.0000
Ce 0.0000 0.8819 0.5000
Ce 0.0410 0.3821 0.5450
Ce 0.0410 0.6179 0.0450
H 0.0367 0.4444 0.9721
H 0.0367 0.5556 0.4721
H 0.1397 0.2439 0.2891
H 0.1397 0.7561 0.7891
H 0.1568 0.2937 0.1602
H 0.1568 0.7063 0.6602
H 0.1748 0.2050 0.5329
H 0.1748 0.7950 0.0329
H 0.4024 0.2567 0.5890
H 0.4024 0.7433 0.0890
H 0.4478 0.1298 0.8554
H 0.4478 0.8702 0.3554
H 0.4992 0.3585 0.1556
H 0.4992 0.6415 0.6556
H 0.5955 0.1846 0.3208
H 0.5955 0.8154 0.8208
H 0.6065 0.1476 0.0742
H 0.6065 0.8524 0.5742
H 0.6106 0.0962 0.3019
H 0.6106 0.9038 0.8019
H 0.6477 0.3541 0.0814
H 0.6477 0.6459 0.5814
H 0.6558 0.4119 0.8649
H 0.6558 0.5881 0.3649
H 0.6593 0.3237 0.8426
H 0.6593 0.6763 0.3426
H 0.7833 0.0267 0.5759
H 0.7833 0.9733 0.0759
H 0.8385 0.4725 0.7546
H 0.8385 0.5275 0.2546
H 0.9845 0.0552 0.5577
H 0.9845 0.9448 0.0577
S 0.3244 0.0626 0.5164
S 0.3244 0.9374 0.0164
S 0.3667 0.4362 0.3527
S 0.3667 0.5638 0.8527
S 0.9182 0.2515 0.7158
S 0.9182 0.7485 0.2158
O 0.0736 0.1794 0.8006
O 0.0736 0.8206 0.3006
O 0.0961 0.3194 0.8101
O 0.0961 0.6806 0.3101
O 0.1095 0.2422 0.1709
O 0.1095 0.7578 0.6709
O 0.2083 0.2570 0.5114
O 0.2083 0.7430 0.0114
O 0.2168 0.0940 0.3298
O 0.2168 0.9060 0.8298
O 0.2208 0.1076 0.5876
O 0.2208 0.8924 0.0876
O 0.2400 0.0181 0.9898
O 0.2400 0.9819 0.4898
O 0.2672 0.3889 0.1832
O 0.2672 0.6111 0.6832
O 0.2685 0.4845 0.7878
O 0.2685 0.5155 0.2878
O 0.2704 0.4046 0.4404
O 0.2704 0.5954 0.9404
O 0.5231 0.1432 0.2248
O 0.5231 0.8568 0.7248
O 0.5740 0.3639 0.8579
O 0.5740 0.6361 0.3579
O 0.6187 0.0680 0.6590
O 0.6187 0.9320 0.1590
O 0.6267 0.1387 0.9814
O 0.6267 0.8613 0.4814
O 0.6621 0.4356 0.5003
O 0.6621 0.5644 0.0003
O 0.6751 0.3534 0.1988
O 0.6751 0.6466 0.6988
O 0.7369 0.2495 0.7518
O 0.7369 0.7505 0.2518
O 0.7695 0.2580 0.5069
O 0.7695 0.7420 0.0069
O 0.8372 0.0189 0.5036
O 0.8372 0.9811 0.0036
O 0.8912 0.4809 0.8797
O 0.8912 0.5191 0.3797
```



2) VASP calculation (PBE-GGA) on a geometry-optimized Ce2H16S3O20 structure. Values from VASP.

## Properties
SG = No. 15
crystal system = monoclinic

Cell and atoms, written as Quantum ESPRESSO input:
```
&SYSTEM
  ibrav = 0, nat = 82, ntyp = 4
/
ATOMIC_SPECIES
Ce 140.12 Ce.upf
H 1.01 H.upf
S 32.06 S.upf
O 16.00 O.upf
CELL_PARAMETERS angstrom
5.6925 -4.0873 0.0000
5.6925 4.0873 0.0000
-3.7617 0.0000 22.2296
ATOMIC_POSITIONS crystal
Ce 0.1267 0.2079 0.4114
Ce 0.2079 0.1267 0.9114
Ce 0.7921 0.8733 0.0886
Ce 0.8733 0.7921 0.5886
H 0.1320 0.5105 0.0022
H 0.1627 0.4439 0.2269
H 0.1670 0.4345 0.1935
H 0.1724 0.7033 0.9334
H 0.2461 0.6388 0.5295
H 0.2967 0.8276 0.5666
H 0.3387 0.3400 0.3368
H 0.3400 0.3387 0.8368
H 0.3612 0.7539 0.9705
H 0.3847 0.6012 0.1476
H 0.3988 0.6153 0.3524
H 0.4196 0.5671 0.6253
H 0.4329 0.5804 0.8747
H 0.4345 0.1670 0.6935
H 0.4439 0.1627 0.7269
H 0.4895 0.8680 0.4978
H 0.5105 0.1320 0.5022
H 0.5561 0.8373 0.2731
H 0.5655 0.8330 0.3065
H 0.5671 0.4196 0.1253
H 0.5804 0.4329 0.3747
H 0.6012 0.3847 0.6476
H 0.6153 0.3988 0.8524
H 0.6388 0.2461 0.0295
H 0.6600 0.6613 0.1632
H 0.6613 0.6600 0.6632
H 0.7033 0.1724 0.4334
H 0.7539 0.3612 0.4705
H 0.8276 0.2967 0.0666
H 0.8330 0.5655 0.8065
H 0.8373 0.5561 0.7731
H 0.8680 0.4895 0.9978
S 0.0086 0.6960 0.4315
S 0.2214 0.7786 0.7500
S 0.3040 0.9914 0.0685
S 0.6960 0.0086 0.9315
S 0.7786 0.2214 0.2500
S 0.9914 0.3040 0.5685
O 0.0437 0.5827 0.0630
O 0.0659 0.8369 0.3997
O 0.1013 0.4279 0.6086
O 0.1040 0.8502 0.6949
O 0.1142 0.1866 0.5183
O 0.1393 0.4757 0.9560
O 0.1498 0.8960 0.8051
O 0.1631 0.9341 0.1003
O 0.1866 0.1142 0.0183
O 0.1949 0.5407 0.4592
O 0.2389 0.7185 0.5701
O 0.2493 0.2526 0.8411
O 0.2526 0.2493 0.3411
O 0.2815 0.7611 0.9299
O 0.4173 0.9563 0.4370
O 0.4279 0.1013 0.1086
O 0.4593 0.8051 0.0408
O 0.4757 0.1393 0.4560
O 0.4763 0.4776 0.8405
O 0.4776 0.4763 0.3405
O 0.5224 0.5237 0.6595
O 0.5237 0.5224 0.1595
O 0.5243 0.8607 0.5440
O 0.5407 0.1949 0.9592
O 0.5721 0.8986 0.8914
O 0.5827 0.0437 0.5630
O 0.7185 0.2389 0.0701
O 0.7474 0.7507 0.6589
O 0.7507 0.7474 0.1589
O 0.7611 0.2815 0.4299
O 0.8051 0.4593 0.5408
O 0.8134 0.8858 0.9817
O 0.8369 0.0659 0.8997
O 0.8502 0.1040 0.1949
O 0.8607 0.5243 0.0440
O 0.8858 0.8134 0.4817
O 0.8960 0.1498 0.3051
O 0.8986 0.5721 0.3914
O 0.9341 0.1631 0.6003
O 0.9563 0.4173 0.9370
```



3) VASP calculation (PBE-GGA) on a geometry-optimized Ce2H16S3O20 structure. Values from VASP.

## Properties
SG = No. 15
crystal system = monoclinic

Cell and atoms, written as Quantum ESPRESSO input:
```
&SYSTEM
  ibrav = 0, nat = 82, ntyp = 4
/
ATOMIC_SPECIES
Ce 140.12 Ce.upf
H 1.01 H.upf
S 32.06 S.upf
O 16.00 O.upf
CELL_PARAMETERS angstrom
6.3718 -3.9491 0.0000
6.3718 3.9491 0.0000
-2.7539 0.0000 20.7236
ATOMIC_POSITIONS crystal
Ce 0.1065 0.2679 0.4094
Ce 0.2679 0.1065 0.9094
Ce 0.7321 0.8935 0.0906
Ce 0.8935 0.7321 0.5906
H 0.1357 0.4896 0.0029
H 0.1402 0.7902 0.9415
H 0.1738 0.4230 0.2265
H 0.1854 0.4590 0.1958
H 0.2098 0.8598 0.5585
H 0.2235 0.6586 0.5206
H 0.3076 0.3802 0.3320
H 0.3414 0.7765 0.9794
H 0.3792 0.6185 0.3470
H 0.3802 0.3076 0.8320
H 0.3815 0.6208 0.1530
H 0.4230 0.1738 0.7265
H 0.4294 0.5523 0.8799
H 0.4477 0.5706 0.6201
H 0.4590 0.1854 0.6958
H 0.4896 0.1357 0.5029
H 0.5104 0.8643 0.4971
H 0.5410 0.8146 0.3042
H 0.5523 0.4294 0.3799
H 0.5706 0.4477 0.1201
H 0.5770 0.8262 0.2735
H 0.6185 0.3792 0.8470
H 0.6198 0.6924 0.1680
H 0.6208 0.3815 0.6530
H 0.6586 0.2235 0.0206
H 0.6924 0.6198 0.6680
H 0.7765 0.3414 0.4794
H 0.7902 0.1402 0.4415
H 0.8146 0.5410 0.8042
H 0.8262 0.5770 0.7735
H 0.8598 0.2098 0.0585
H 0.8643 0.5104 0.9971
S 0.0426 0.2704 0.5790
S 0.2370 0.7630 0.7500
S 0.2704 0.0426 0.0790
S 0.7296 0.9574 0.9210
S 0.7630 0.2370 0.2500
S 0.9574 0.7296 0.4210
O 0.0038 0.5977 0.0696
O 0.0068 0.8151 0.3708
O 0.0847 0.8095 0.6967
O 0.1170 0.1415 0.0261
O 0.1415 0.1170 0.5261
O 0.1466 0.5655 0.4539
O 0.1624 0.3834 0.6027
O 0.1648 0.4422 0.9560
O 0.1849 0.9932 0.1292
O 0.1905 0.9153 0.8033
O 0.2120 0.3170 0.3324
O 0.2226 0.7256 0.5652
O 0.2744 0.7774 0.9348
O 0.3170 0.2120 0.8324
O 0.3834 0.1624 0.1027
O 0.4023 0.9962 0.4304
O 0.4345 0.8534 0.0461
O 0.4422 0.1648 0.4560
O 0.4607 0.4748 0.3410
O 0.4748 0.4607 0.8410
O 0.5252 0.5393 0.1590
O 0.5393 0.5252 0.6590
O 0.5578 0.8352 0.5440
O 0.5655 0.1466 0.9539
O 0.5977 0.0038 0.5696
O 0.6166 0.8376 0.8973
O 0.6830 0.7880 0.1676
O 0.7256 0.2226 0.0652
O 0.7774 0.2744 0.4348
O 0.7880 0.6830 0.6676
O 0.8095 0.0847 0.1967
O 0.8151 0.0068 0.8708
O 0.8352 0.5578 0.0440
O 0.8376 0.6166 0.3973
O 0.8534 0.4345 0.5461
O 0.8585 0.8830 0.4739
O 0.8830 0.8585 0.9739
O 0.9153 0.1905 0.3033
O 0.9932 0.1849 0.6292
O 0.9962 0.4023 0.9304
```



Verdict on stability: 3) comes out at the bottom.



1) VASP calculation (PBE-GGA) on a geometry-optimized KLaCeHfO6 structure. Values from VASP.

## Properties
SG = No. 216
crystal system = cubic

Cell and atoms, written as Quantum ESPRESSO input:
```
&SYSTEM
  ibrav = 0, nat = 10, ntyp = 5
/
ATOMIC_SPECIES
K 39.10 K.upf
La 138.91 La.upf
Ce 140.12 Ce.upf
Hf 178.49 Hf.upf
O 16.00 O.upf
CELL_PARAMETERS angstrom
0.0000 4.2762 4.2762
4.2762 0.0000 4.2762
4.2762 4.2762 0.0000
ATOMIC_POSITIONS crystal
K 0.0000 0.0000 0.0000
La 0.5000 0.5000 0.5000
Ce 0.7500 0.7500 0.7500
Hf 0.2500 0.2500 0.2500
O 0.0085 0.0085 0.4915
O 0.0085 0.4915 0.0085
O 0.0085 0.4915 0.4915
O 0.4915 0.0085 0.0085
O 0.4915 0.0085 0.4915
O 0.4915 0.4915 0.0085
```



2) VASP calculation (PBE-GGA) on a geometry-optimized KLaCeHfO6 structure. Values from VASP.

## Properties
SG = No. 48
crystal system = orthorhombic

Cell and atoms, written as Quantum ESPRESSO input:
```
&SYSTEM
  ibrav = 0, nat = 40, ntyp = 5
/
ATOMIC_SPECIES
K 39.10 K.upf
La 138.91 La.upf
Ce 140.12 Ce.upf
Hf 178.49 Hf.upf
O 16.00 O.upf
CELL_PARAMETERS angstrom
8.4326 0.0000 0.0000
0.0000 8.5100 0.0000
0.0000 0.0000 8.5552
ATOMIC_POSITIONS crystal
K 0.2500 0.2500 0.2500
K 0.2500 0.7500 0.7500
K 0.7500 0.2500 0.2500
K 0.7500 0.7500 0.7500
La 0.2500 0.2500 0.7500
La 0.2500 0.7500 0.2500
La 0.7500 0.2500 0.7500
La 0.7500 0.7500 0.2500
Ce 0.0000 0.0000 0.0000
Ce 0.0000 0.5000 0.5000
Ce 0.5000 0.0000 0.5000
Ce 0.5000 0.5000 0.0000
Hf 0.0000 0.0000 0.5000
Hf 0.0000 0.5000 0.0000
Hf 0.5000 0.0000 0.0000
Hf 0.5000 0.5000 0.5000
O 0.0319 0.0576 0.7389
O 0.0319 0.4424 0.7611
O 0.0390 0.7423 0.9875
O 0.0390 0.7577 0.5125
O 0.2415 0.0250 0.4645
O 0.2415 0.4750 0.0355
O 0.2585 0.0250 0.0355
O 0.2585 0.4750 0.4645
O 0.4610 0.7423 0.5125
O 0.4610 0.7577 0.9875
O 0.4681 0.0576 0.7611
O 0.4681 0.4424 0.7389
O 0.5319 0.5576 0.2611
O 0.5319 0.9424 0.2389
O 0.5390 0.2423 0.0125
O 0.5390 0.2577 0.4875
O 0.7415 0.5250 0.5355
O 0.7415 0.9750 0.9645
O 0.7585 0.5250 0.9645
O 0.7585 0.9750 0.5355
O 0.9610 0.2423 0.4875
O 0.9610 0.2577 0.0125
O 0.9681 0.5576 0.2389
O 0.9681 0.9424 0.2611
```



Verdict on stability: 1) comes out at the bottom.



1) VASP calculation (PBE-GGA) on a geometry-optimized CeI3O9 structure. Values from VASP.

## Properties
SG = No. 59
crystal system = orthorhombic

Cell and atoms, written as Quantum ESPRESSO input:
```
&SYSTEM
  ibrav = 0, nat = 26, ntyp = 3
/
ATOMIC_SPECIES
Ce 140.12 Ce.upf
I 126.90 I.upf
O 16.00 O.upf
CELL_PARAMETERS angstrom
6.0772 0.0000 0.0000
0.0000 11.8675 0.0000
0.0000 0.0000 6.3138
ATOMIC_POSITIONS crystal
Ce 0.2500 0.2500 0.2296
Ce 0.7500 0.7500 0.7704
I 0.2500 0.5105 0.7778
I 0.2500 0.7500 0.2817
I 0.2500 0.9895 0.7778
I 0.7500 0.0105 0.2222
I 0.7500 0.2500 0.7183
I 0.7500 0.4895 0.2222
O 0.0118 0.7500 0.4578
O 0.0235 0.6051 0.8578
O 0.0235 0.8949 0.8578
O 0.2500 0.2500 0.9337
O 0.2500 0.5134 0.4910
O 0.2500 0.9866 0.4910
O 0.4765 0.6051 0.8578
O 0.4765 0.8949 0.8578
O 0.4882 0.7500 0.4578
O 0.5118 0.2500 0.5422
O 0.5235 0.1051 0.1422
O 0.5235 0.3949 0.1422
O 0.7500 0.0134 0.5090
O 0.7500 0.4866 0.5090
O 0.7500 0.7500 0.0663
O 0.9765 0.1051 0.1422
O 0.9765 0.3949 0.1422
O 0.9882 0.2500 0.5422
```



2) VASP calculation (PBE-GGA) on a geometry-optimized CeI3O9 structure. Values from VASP.

## Properties
SG = No. 14
crystal system = monoclinic

Cell and atoms, written as Quantum ESPRESSO input:
```
&SYSTEM
  ibrav = 0, nat = 52, ntyp = 3
/
ATOMIC_SPECIES
Ce 140.12 Ce.upf
I 126.90 I.upf
O 16.00 O.upf
CELL_PARAMETERS angstrom
8.9710 0.0000 0.0000
0.0000 6.0625 0.0000
-7.2248 0.0000 15.4545
ATOMIC_POSITIONS crystal
Ce 0.1384 0.2325 0.0994
Ce 0.1384 0.2675 0.5994
Ce 0.8616 0.7325 0.4006
Ce 0.8616 0.7675 0.9006
I 0.0695 0.1878 0.3508
I 0.0695 0.3122 0.8508
I 0.3600 0.6369 0.5225
I 0.3600 0.8631 0.0225
I 0.4155 0.5904 0.8017
I 0.4155 0.9096 0.3017
I 0.5845 0.0904 0.6983
I 0.5845 0.4096 0.1983
I 0.6400 0.1369 0.9775
I 0.6400 0.3631 0.4775
I 0.9305 0.6878 0.1492
I 0.9305 0.8122 0.6492
O 0.0628 0.0506 0.7024
O 0.0628 0.4494 0.2024
O 0.0923 0.0943 0.4587
O 0.0923 0.4057 0.9587
O 0.0952 0.6056 0.6708
O 0.0952 0.8944 0.1708
O 0.1337 0.6006 0.4902
O 0.1337 0.8994 0.9902
O 0.3320 0.5861 0.8829
O 0.3320 0.9139 0.3829
O 0.3434 0.1827 0.2543
O 0.3434 0.3173 0.7543
O 0.3583 0.0865 0.9464
O 0.3583 0.4135 0.4464
O 0.3700 0.0011 0.6315
O 0.3700 0.4989 0.1315
O 0.4021 0.0322 0.1192
O 0.4021 0.4678 0.6192
O 0.5979 0.5322 0.3808
O 0.5979 0.9678 0.8808
O 0.6300 0.5011 0.8685
O 0.6300 0.9989 0.3685
O 0.6417 0.5865 0.5536
O 0.6417 0.9135 0.0536
O 0.6566 0.6827 0.2457
O 0.6566 0.8173 0.7457
O 0.6680 0.0861 0.6171
O 0.6680 0.4139 0.1171
O 0.8663 0.1006 0.0098
O 0.8663 0.3994 0.5098
O 0.9048 0.1056 0.8292
O 0.9048 0.3944 0.3292
O 0.9077 0.5943 0.0413
O 0.9077 0.9057 0.5413
O 0.9372 0.5506 0.7976
O 0.9372 0.9494 0.2976
```



Verdict on stability: 1) comes out at the bottom.